Entry from the Materials Project database: NaGaSiGeS2O12 after structural relaxation (PBE).

Structure (POSCAR):
```
NaGaSiGeS2O12
1.0
-0.513 -2.748 8.030
-6.395 -1.485 -5.418
9.551 -19.125 -5.935
Na Ga Si Ge S O
6 6 6 6 12 72
direct
0.016 0.009 0.502
0.992 0.009 0.002
0.681 0.332 0.835
0.650 0.332 0.335
0.337 0.682 0.169
0.345 0.682 0.669
0.995 0.993 0.648
0.997 0.993 0.148
0.691 0.324 0.979
0.632 0.324 0.479
0.337 0.673 0.313
0.335 0.673 0.813
0.286 0.994 0.248
0.709 0.994 0.748
0.366 0.033 0.582
0.667 0.033 0.082
0.056 0.390 0.915
0.334 0.390 0.415
0.029 0.024 0.354
0.995 0.024 0.854
0.658 0.300 0.685
0.642 0.300 0.185
0.337 0.667 0.019
0.329 0.667 0.519
0.715 0.709 0.250
0.996 0.289 0.249
0.293 0.289 0.749
0.993 0.709 0.750
0.953 0.336 0.582
0.664 0.616 0.584
0.952 0.616 0.084
0.384 0.336 0.082
0.628 0.666 0.917
0.327 0.959 0.916
0.631 0.959 0.416
0.038 0.666 0.417
0.207 0.041 0.310
0.825 0.792 0.306
0.954 0.174 0.305
0.219 0.174 0.805
0.966 0.792 0.806
0.834 0.041 0.810
0.797 0.965 0.689
0.185 0.207 0.695
0.029 0.819 0.696
0.790 0.819 0.196
0.022 0.207 0.195
0.168 0.965 0.189
0.878 0.375 0.639
0.495 0.114 0.643
0.636 0.505 0.640
0.869 0.505 0.140
0.619 0.114 0.143
0.497 0.375 0.139
0.470 0.316 0.028
0.841 0.540 0.029
0.703 0.153 0.023
0.451 0.153 0.523
0.699 0.540 0.529
0.845 0.316 0.528
0.555 0.712 0.972
0.179 0.475 0.978
0.296 0.848 0.971
0.552 0.848 0.471
0.296 0.475 0.478
0.157 0.712 0.472
0.118 0.640 0.362
0.517 0.886 0.362
0.359 0.506 0.356
0.146 0.506 0.856
0.369 0.886 0.862
0.522 0.640 0.862
0.013 0.828 0.411
0.808 0.962 0.408
0.146 0.186 0.413
0.040 0.186 0.913
0.154 0.962 0.908
0.816 0.828 0.911
0.969 0.174 0.588
0.169 0.012 0.592
0.823 0.799 0.589
0.976 0.799 0.089
0.843 0.012 0.092
0.204 0.174 0.088
0.700 0.186 0.744
0.480 0.314 0.744
0.823 0.529 0.743
0.706 0.529 0.243
0.833 0.314 0.244
0.486 0.186 0.244
0.637 0.500 0.926
0.856 0.367 0.919
0.481 0.145 0.923
0.664 0.145 0.423
0.512 0.367 0.419
0.863 0.500 0.426
0.365 0.502 0.079
0.133 0.629 0.079
0.478 0.833 0.072
0.355 0.833 0.572
0.496 0.629 0.579
0.137 0.502 0.579
0.313 0.821 0.258
0.532 0.685 0.255
0.160 0.467 0.256
0.307 0.467 0.756
0.153 0.685 0.755
0.508 0.821 0.758
```

Results
- Formation enthalpy at 0 K: -2.139 eV per atom
- Symmetry: Cc, No. 9